# Li4Co3OF11, optimized geometry, DFT PBE with a Hubbard U
# M_tot (Bohr magnetons per cell): 12.0
# Formation energy (eV per atom): -2.4771
# Calculated density (g/cm³): 3.502
data_Li4Co3OF11
_symmetry_space_group_name_H-M 'P 1'
_symmetry_Int_Tables_number 1
_symmetry_space_group_name_Hall 'P 1'
_cell_length_a 5.7496
_cell_length_b 5.9072
_cell_length_c 6.3020
_cell_angle_alpha 100.49
_cell_angle_beta 100.76
_cell_angle_gamma 97.63
loop_
_atom_site_label
_atom_site_type_symbol
_atom_site_fract_x
_atom_site_fract_y
_atom_site_fract_z
_atom_site_occupancy
Li1 Li 0.0000 0.0000 0.0000 1
Li2 Li 0.1972 0.2659 0.5797 1
Li3 Li 0.4752 0.8142 0.7562 1
Li4 Li 0.7275 0.3064 0.8305 1
Co1 Co 0.2877 0.5196 0.0900 1
Co2 Co 0.5663 0.0419 0.2982 1
Co3 Co 0.8773 0.6690 0.4418 1
O1 O 0.5569 0.7215 0.3017 1
F1 F 0.0594 0.2651 0.8475 1
F2 F 0.1913 0.6106 0.5595 1
F3 F 0.2648 0.8354 0.0206 1
F4 F 0.3082 0.2523 0.2392 1
F5 F 0.4674 0.0763 0.5919 1
F6 F 0.4798 0.4840 0.8828 1
F7 F 0.6824 0.0728 0.0312 1
F8 F 0.7622 0.3442 0.4623 1
F9 F 0.8086 0.7656 0.7216 1
F10 F 0.9616 0.9853 0.3987 1
F11 F 0.9688 0.5521 0.1571 1